Material: Nb2AgPS10
Method: DFT, PBE-GGA
State: optimized geometry

Unit cell a=13.3120 b=13.3120 c=13.0595 alpha=86.44 beta=86.44 gamma=36.03
With the nearest neighbours (Å) after each atom.
Positions (direct):
S (0.2008, 0.9300, 0.1462)  1 P 2.08
S (0.1497, 0.2600, 0.6323)  1 S 2.05
S (0.4858, 0.5976, 0.6146)  1 P 2.03
S (0.3052, 0.1115, 0.8586)  1 S 2.03
S (0.7039, 0.9860, 0.3565)  1 S 2.05
S (0.3418, 0.0676, 0.4069)  1 S 2.03
S (0.9860, 0.7039, 0.8565)  1 S 2.05
S (0.1793, 0.9522, 0.8704)  1 S 2.05
S (0.7815, 0.5109, 0.5063)  1 P 2.06
S (0.8885, 0.6948, 0.6414)  1 S 2.03
S (0.7992, 0.0700, 0.8538)  1 P 2.08
S (0.8187, 0.0534, 0.5696)  1 S 2.05
S (0.0534, 0.8187, 0.0696)  1 S 2.05
S (0.9300, 0.2008, 0.6462)  1 P 2.08
S (0.5109, 0.7815, 0.0063)  1 P 2.06
S (0.2185, 0.4891, 0.4937)  1 P 2.06
S (0.8207, 0.0478, 0.1296)  1 S 2.05
S (0.2600, 0.1497, 0.1323)  1 S 2.05
S (0.5976, 0.4858, 0.1146)  1 P 2.03
S (0.0700, 0.7992, 0.3538)  1 P 2.08
S (0.2592, 0.4765, 0.2306)  1 P 2.08
S (0.9522, 0.1793, 0.3704)  1 S 2.05
S (0.4024, 0.5142, 0.8854)  1 P 2.03
S (0.0676, 0.3418, 0.9069)  1 S 2.03
S (0.8503, 0.7400, 0.3677)  1 S 2.05
S (0.7408, 0.5235, 0.7694)  1 P 2.08
S (0.2961, 0.0140, 0.6435)  1 S 2.05
S (0.4765, 0.2592, 0.7306)  1 P 2.08
S (0.4891, 0.2185, 0.9937)  1 P 2.06
S (0.9466, 0.1813, 0.9304)  1 S 2.05
S (0.7400, 0.8503, 0.8677)  1 S 2.05
S (0.0140, 0.2961, 0.1435)  1 S 2.05
S (0.5235, 0.7408, 0.2694)  1 P 2.08
S (0.1115, 0.3052, 0.3586)  1 S 2.03
S (0.6582, 0.9324, 0.5931)  1 S 2.03
S (0.5142, 0.4024, 0.3854)  1 P 2.03
S (0.0478, 0.8207, 0.6296)  1 S 2.05
S (0.6948, 0.8885, 0.1414)  1 S 2.03
S (0.1813, 0.9466, 0.4304)  1 S 2.05
S (0.9324, 0.6582, 0.0931)  1 S 2.03
P (0.7213, 0.4663, 0.6334)  4 S 2.03-2.08
P (0.5337, 0.2787, 0.8666)  4 S 2.03-2.08
P (0.2787, 0.5337, 0.3666)  4 S 2.03-2.08
P (0.4663, 0.7213, 0.1334)  4 S 2.03-2.08
Nb (0.9327, 0.7974, 0.2135)  8 S 2.50-2.68
Nb (0.9148, 0.8118, 0.5048)  8 S 2.49-2.68
Nb (0.2026, 0.0673, 0.2865)  8 S 2.50-2.68
Nb (0.1882, 0.0852, 0.9952)  8 S 2.49-2.68
Nb (0.0673, 0.2026, 0.7865)  8 S 2.50-2.68
Nb (0.7974, 0.9327, 0.7135)  8 S 2.50-2.68
Nb (0.0852, 0.1882, 0.4952)  8 S 2.49-2.68
Nb (0.8118, 0.9148, 0.0048)  8 S 2.49-2.68
Ag (0.4714, 0.4140, 0.5956)  3 S 2.59-2.76
Ag (0.4140, 0.4714, 0.0956)  3 S 2.59-2.76
Ag (0.5860, 0.5286, 0.9044)  3 S 2.59-2.76
Ag (0.5286, 0.5860, 0.4044)  3 S 2.59-2.76

=====

Material: Rb2NbAgS4
Method: DFT, PBE-GGA
State: optimized geometry

Unit cell a=13.9260 b=12.4154 c=7.5947 alpha=84.56 beta=62.56 gamma=32.88
With the nearest neighbours (Å) after each atom.
Positions (direct):
S (0.1891, 0.4222, 0.5079)  1 Nb 2.31, 1 Ag 2.57
S (0.4222, 0.1891, 0.8808)  1 Nb 2.31, 1 Ag 2.57
S (0.7421, 0.3692, 0.0609)  1 Nb 2.31, 1 Ag 2.57
S (0.8278, 0.0609, 0.3692)  1 Nb 2.31, 1 Ag 2.57
S (0.0609, 0.8278, 0.7421)  1 Nb 2.31, 1 Ag 2.57
S (0.8808, 0.5079, 0.4222)  1 Nb 2.31, 1 Ag 2.57
S (0.3692, 0.7421, 0.8278)  1 Nb 2.31, 1 Ag 2.57
S (0.5079, 0.8808, 0.1891)  1 Nb 2.31, 1 Ag 2.57
Rb (0.1790, 0.1790, 0.8210)  8 S 3.51-3.85
Rb (0.0710, 0.0710, 0.4290)  8 S 3.51-3.85
Rb (0.8210, 0.8210, 0.1790)  8 S 3.51-3.85
Rb (0.4290, 0.4290, 0.0710)  8 S 3.51-3.85
Ag (0.5000, 0.5000, 0.5000)  4 S 2.57
Ag (0.7500, 0.7500, 0.7500)  4 S 2.57
Nb (0.2500, 0.2500, 0.2500)  4 S 2.31
Nb (0.0000, 0.0000, 0.0000)  4 S 2.31

=====

Material: Nb4AgS8
Method: DFT, PBE-GGA
State: optimized geometry

Unit cell a=3.3825 b=3.3825 c=27.2661 alpha=86.44 beta=90.00 gamma=120.00
With the nearest neighbours (Å) after each atom.
Positions (direct):
S (0.8507, 0.7014, 0.4479)  3 Nb 2.48
S (0.3504, 0.7007, 0.9489)  3 Nb 2.50
S (0.1492, 0.2985, 0.5523)  3 Nb 2.50
S (0.3887, 0.7775, 0.8338)  3 Nb 2.51
S (0.6095, 0.2190, 0.1715)  1 Ag 2.46, 3 Nb 2.51
S (0.8889, 0.7779, 0.3332)  3 Nb 2.52, 3 Ag 2.75
S (0.1109, 0.2217, 0.6674)  3 Nb 2.51
S (0.6476, 0.2952, 0.0572)  3 Nb 2.48
Nb (0.4634, 0.9269, 0.6097)  6 S 2.50-2.51
Nb (0.5360, 0.0720, 0.3920)  6 S 2.48-2.52
Nb (0.0361, 0.0723, 0.8916)  6 S 2.50-2.51
Nb (0.9621, 0.9243, 0.1136)  6 S 2.48-2.51
Ag (0.5793, 0.1586, 0.2620)  4 S 2.46-2.75

=====

Computed values of energy of formation from the pure elements (unit: kJ/mol of formula units) for the preceding records, in sequence: -1213; -977; -1556.